Computed, not measured: an optimized crystal structure of CeTh4O10 at the r2SCAN level of DFT.

Geometry as POSCAR:
```
CeTh4O10
1.0
-1.9700 1.9700 13.9247
1.9700 -1.9700 13.9247
1.9700 1.9700 -13.9247
O Ce Th
10 1 4
direct
0.6492 0.1492 0.5000
0.5486 0.0486 0.5000
0.8508 0.3508 0.5000
0.1492 0.6492 0.5000
0.2500 0.7500 0.5000
0.3508 0.8508 0.5000
0.9514 0.4514 0.5000
0.4514 0.9514 0.5000
0.0486 0.5486 0.5000
0.7500 0.2500 0.5000
0.0000 0.0000 0.0000
0.4014 0.4014 0.0000
0.8004 0.8004 0.0000
0.1996 0.1996 0.0000
0.5986 0.5986 0.0000
```

Total magnetization (μB per cell): 0.00
DFT formation energy (meV per atom): -4131